No. 1
Material: YTl3
Method: DFT, GGA-PBE
State: optimized geometry

Values from the calculation:
SG   Pm-3m, No. 221
Energy   -14.56 eV for the cell shown
V   109.7 Å³/f.u.
DFT formation energy   -97 kJ/mol of formula units

Unit cell a=4.7867 b=4.7867 c=4.7867 alpha=90.00 beta=90.00 gamma=90.00
Fractional positions:
Tl1 0.0000 0.5000 0.5000
Tl2 0.5000 0.0000 0.5000
Tl3 0.5000 0.5000 0.0000
Y1 0.0000 0.0000 0.0000

No. 2
Material: YTl
Method: DFT, GGA-PBE
State: optimized geometry

Values from the calculation:
SG   Pm-3m, No. 221
Energy   -9.57 eV for the cell shown
V   55.3 Å³/f.u.
DFT formation energy   -71 kJ/mol of formula units

Unit cell a=3.8107 b=3.8107 c=3.8107 alpha=90.00 beta=90.00 gamma=90.00
Fractional positions:
Tl1 0.0000 0.0000 0.0000
Y1 0.5000 0.5000 0.5000

No. 3
Material: Tl3Zn
Method: DFT, GGA-PBE
State: optimized geometry

Values from the calculation:
SG   Fm-3m, No. 225
Energy   -7.82 eV for the cell shown
V   112.5 Å³/f.u.
DFT formation energy   51 kJ/mol of formula units
Total moment   0.0 μB/f.u.

Unit cell a=5.4180 b=5.4180 c=5.4180 alpha=60.00 beta=60.00 gamma=60.00
Fractional positions:
Tl1 0.5000 0.5000 0.5000
Tl2 0.2500 0.2500 0.2500
Tl3 0.7500 0.7500 0.7500
Zn1 0.0000 0.0000 0.0000

No. 4
Material: Tl3Zn
Method: DFT, GGA-PBE
State: optimized geometry

Values from the calculation:
SG   Pm-3m, No. 221
Energy   -7.80 eV for the cell shown
V   110.7 Å³/f.u.
DFT formation energy   52 kJ/mol of formula units
Total moment   0.0 μB/f.u.

Unit cell a=4.8010 b=4.8010 c=4.8010 alpha=90.00 beta=90.00 gamma=90.00
Fractional positions:
Tl1 0.0000 0.5000 0.5000
Tl2 0.5000 0.5000 0.0000
Tl3 0.5000 0.0000 0.5000
Zn1 0.0000 0.0000 0.0000

No. 5
Material: Tl3Zn
Method: DFT, GGA-PBE
State: optimized geometry

Values from the calculation:
SG   I4/mmm, No. 139
Energy   -7.82 eV for the cell shown
V   112.2 Å³/f.u.
DFT formation energy   51 kJ/mol of formula units
Total moment   0.0 μB/f.u.

Unit cell a=5.9863 b=5.9863 c=5.9863 alpha=133.15 beta=133.15 gamma=68.42
Fractional positions:
Tl1 0.7500 0.2500 0.5000
Tl2 0.2500 0.7500 0.5000
Tl3 0.5000 0.5000 0.0000
Zn1 0.0000 0.0000 0.0000

No. 6
Material: Tm
Method: DFT, GGA-PBE
State: optimized geometry

Values from the calculation:
SG   R-3m, No. 166
Energy   -13.43 eV for the cell shown
Energy relative to the lowest polymorph listed for this composition   0.0 meV per atom
V   30.0 Å³/f.u.
DFT formation energy   0 kJ/mol of formula units

Unit cell a=8.6575 b=8.6575 c=8.6575 alpha=23.40 beta=23.40 gamma=23.40
Fractional positions:
Tm1 0.0000 0.0000 0.0000
Tm2 0.2220 0.2220 0.2220
Tm3 0.7780 0.7780 0.7780